# Na6CuP4H26O30 | Materials Project | PBE-GGA | optimized geometry
# magnetization = 11.0 μB per formula unit
# calculated formation energy = -110.4 kJ per mole of atoms
# MP2020-corrected energy = -347.009 eV per cell
# calculated volume = 897.3 Å³/f.u.
data_Na6CuP4H26O30
_chemical_formula_sum 'Na6 Cu1 P4 H26 O30'
_cell_length_a 7.7815
_cell_length_b 9.2085
_cell_length_c 13.7839
_cell_angle_alpha 86.00
_cell_angle_beta 86.12
_cell_angle_gamma 65.72
_space_group_name_H-M_alt 'P -1'
_space_group_IT_number 2
_space_group_name_Hall '-P 1'
loop_
_atom_site_label
_atom_site_type_symbol
_atom_site_fract_x
_atom_site_fract_y
_atom_site_fract_z
_atom_site_occupancy
Na1 Na 0.0163 0.3711 0.3935 1
Na2 Na 0.0424 0.8647 0.7682 1
Na3 Na 0.2458 0.5254 0.0020 1
Cu1 Cu 0.5000 0.0000 0.5000 1
P1 P 0.4394 0.0911 0.2629 1
P2 P 0.4508 0.2428 0.6514 1
H1 H 0.0676 0.2030 0.7855 1
H2 H 0.1126 0.8932 0.5196 1
H3 H 0.1262 0.3639 0.1425 1
H4 H 0.1738 0.7936 0.2405 1
H5 H 0.1836 0.3676 0.8073 1
H6 H 0.2059 0.8614 0.4917 1
H7 H 0.2265 0.0265 0.8039 1
H8 H 0.2324 0.2464 0.0602 1
H9 H 0.2433 0.7332 0.2732 1
H10 H 0.2606 0.5499 0.4065 1
H11 H 0.3246 0.5672 0.6822 1
H12 H 0.3893 0.8482 0.6359 1
H13 H 0.4449 0.6857 0.9035 1
O1 O 0.0145 0.8217 0.0153 1
O2 O 0.0431 0.0917 0.0585 1
O3 O 0.0499 0.3892 0.8050 1
O4 O 0.0994 0.0860 0.7792 1
O5 O 0.1338 0.3515 0.0720 1
O6 O 0.1531 0.2462 0.5754 1
O7 O 0.2101 0.6676 0.6781 1
O8 O 0.2142 0.3314 0.6335 1
O9 O 0.2274 0.1680 0.2667 1
O10 O 0.4327 0.6553 0.9729 1
O11 O 0.4455 0.8659 0.8149 1
O12 O 0.4609 0.8341 0.4436 1
O13 O 0.4861 0.1040 0.7352 1
O14 O 0.4914 0.3728 0.6862 1
O15 O 0.4972 0.8789 0.6305 1

=====

# Lu2PbS4 | Materials Project | PBE-GGA | optimized geometry
# calculated formation energy = -184.6 kJ per mole of atoms
# MP2020-corrected energy = -170.780 eV per cell
# calculated volume = 165.8 Å³/f.u.
data_Lu2PbS4
_chemical_formula_sum 'Lu8 Pb4 S16'
_cell_length_a 11.9257
_cell_length_b 3.9226
_cell_length_c 14.1811
_cell_angle_alpha 90.00
_cell_angle_beta 90.00
_cell_angle_gamma 90.00
_space_group_name_H-M_alt 'P n m a'
_space_group_IT_number 62
_space_group_name_Hall '-P 2ac 2n'
loop_
_atom_site_label
_atom_site_type_symbol
_atom_site_fract_x
_atom_site_fract_y
_atom_site_fract_z
_atom_site_occupancy
Lu1 Lu 0.0662 0.2500 0.1109 1
Lu2 Lu 0.0808 0.2500 0.6002 1
Pb1 Pb 0.2415 0.2500 0.3372 1
S1 S 0.0236 0.7500 0.7153 1
S2 S 0.0846 0.2500 0.9234 1
S3 S 0.1281 0.7500 0.4741 1
S4 S 0.2073 0.7500 0.1706 1

=====

# CaSn3 | Materials Project | PBE-GGA | optimized geometry
# calculated formation energy = -39.3 kJ per mole of atoms
# calculated volume = 109.1 Å³/f.u.
data_CaSn3
_chemical_formula_sum 'Ca1 Sn3'
_cell_length_a 4.7788
_cell_length_b 4.7788
_cell_length_c 4.7788
_cell_angle_alpha 90.00
_cell_angle_beta 90.00
_cell_angle_gamma 90.00
_space_group_name_H-M_alt 'P m -3 m'
_space_group_IT_number 221
_space_group_name_Hall '-P 4 2 3'
loop_
_atom_site_label
_atom_site_type_symbol
_atom_site_fract_x
_atom_site_fract_y
_atom_site_fract_z
_atom_site_occupancy
Ca1 Ca 0.0000 0.0000 0.0000 1
Sn1 Sn 0.0000 0.5000 0.5000 1

=====

Question: Which of these has the highest calculated formation energy?
Answer: CaSn3